A plane-wave DFT calculation with PBE-GGA was carried out for a relaxed NdP2Pd2 crystal.

```
NdP2Pd2
1.0
3.3147 2.6996 3.9241
-1.4618 -0.3079 5.6074
0.7081 -3.6282 -4.4732
Nd P Pd
1 2 2
Cartesian
0.0000 0.0000 0.0000
0.7175 0.9262 3.6911
1.1354 1.4655 5.8404
2.4746 0.1336 2.1084
0.0864 -1.3701 2.9500
```

## Properties
**Energy of formation from the pure elements**: -4.81 eV per formula unit
**ρ**: 8.0 Mg/m³
**Space-group type**: No. 139

A plane-wave DFT calculation with PBE-GGA was carried out for a relaxed NdPPd crystal.

```
NdPPd
1.0
3.9269 1.6056 0.0933
-1.9217 -0.6915 -3.7197
-2.9786 7.2742 0.1866
Nd P Pd
2 2 2
Cartesian
-1.4893 3.6371 0.0933
0.0000 0.0000 0.0000
-0.2566 6.2956 -1.0378
-0.7168 1.8928 -2.4021
-2.2061 5.5299 -2.3088
1.2327 2.6584 -1.1311
```

## Properties
**Energy of formation from the pure elements**: -3.72 eV per formula unit
**ρ**: 7.6 Mg/m³
**Space-group type**: No. 194

A plane-wave DFT calculation with PBE-GGA was carried out for a relaxed NdP2Rh2 crystal.

```
NdP2Rh2
1.0
-2.0384 3.2508 1.6459
0.5798 -1.5725 3.8239
8.2832 4.8253 0.7285
Nd P Rh
2 4 4
Cartesian
2.4231 0.4564 2.0996
5.1308 5.2079 1.3638
4.1416 2.4126 0.3642
3.4123 3.2517 3.0991
7.4273 3.3715 2.5397
0.1266 2.2928 0.9237
0.0000 0.0000 0.0000
-0.7293 0.8391 2.7349
5.3662 2.1708 2.3584
2.1877 3.4935 1.1050
```

## Properties
**Energy of formation from the pure elements**: -5.50 eV per formula unit
**ρ**: 8.2 Mg/m³
**Space-group type**: No. 129